NbBi2O5F: optimized geometry, PBE-GGA.

Geometry as POSCAR:
```
NbBi2O5F
1.0
5.459 0.000 0.000
0.000 5.471 0.000
0.000 0.000 17.029
Nb Bi O F
4 8 20 4
Direct
0.249 0.247 0.236
0.251 0.753 0.736
0.749 0.253 0.764
0.751 0.747 0.264
0.239 0.762 0.426
0.245 0.272 0.577
0.255 0.728 0.077
0.261 0.238 0.926
0.739 0.738 0.574
0.745 0.228 0.423
0.755 0.772 0.923
0.761 0.262 0.074
0.002 0.504 0.997
0.002 0.999 0.002
0.049 0.949 0.236
0.050 0.450 0.762
0.232 0.305 0.127
0.268 0.695 0.627
0.450 0.550 0.262
0.451 0.051 0.736
0.498 0.001 0.502
0.498 0.496 0.497
0.502 0.501 0.998
0.502 0.996 0.003
0.549 0.551 0.764
0.550 0.050 0.238
0.732 0.195 0.873
0.768 0.805 0.373
0.950 0.950 0.738
0.951 0.449 0.264
0.998 0.004 0.503
0.998 0.499 0.498
0.236 0.796 0.870
0.264 0.204 0.370
0.736 0.704 0.130
0.764 0.296 0.630
```

Calculated values
The formation energy comes out at -2396 meV/atom. As for the total energy: -248.8 eV per cell. For the total energy after the MP2020 corrections, the calculation gives -7.345 eV per atom.


KNaAl2As2O9: optimized geometry, PBE-GGA.

Geometry as POSCAR:
```
KNaAl2As2O9
1.0
8.369 0.000 0.000
0.000 5.604 0.000
0.000 0.000 17.404
K Na Al As O
4 4 8 8 36
Direct
0.048 0.250 0.232
0.452 0.750 0.732
0.548 0.250 0.268
0.952 0.750 0.768
0.089 0.250 0.635
0.411 0.750 0.135
0.589 0.250 0.865
0.911 0.750 0.365
0.000 0.000 0.000
0.000 0.500 0.000
0.219 0.250 0.439
0.281 0.750 0.939
0.500 0.000 0.500
0.500 0.500 0.500
0.719 0.250 0.061
0.781 0.750 0.561
0.170 0.750 0.559
0.189 0.250 0.853
0.311 0.750 0.353
0.330 0.250 0.059
0.670 0.750 0.941
0.689 0.250 0.647
0.811 0.750 0.147
0.830 0.250 0.441
0.016 0.250 0.480
0.041 0.250 0.925
0.059 0.750 0.938
0.098 0.250 0.767
0.170 0.750 0.656
0.190 0.502 0.367
0.190 0.998 0.367
0.228 0.502 0.025
0.228 0.998 0.025
0.272 0.002 0.525
0.272 0.498 0.525
0.310 0.002 0.867
0.310 0.498 0.867
0.330 0.250 0.156
0.402 0.750 0.267
0.441 0.250 0.438
0.459 0.750 0.425
0.484 0.750 0.980
0.516 0.250 0.020
0.541 0.250 0.575
0.559 0.750 0.562
0.598 0.250 0.733
0.670 0.750 0.844
0.690 0.502 0.133
0.690 0.998 0.133
0.728 0.502 0.475
0.728 0.998 0.475
0.772 0.002 0.975
0.772 0.498 0.975
0.810 0.002 0.633
0.810 0.498 0.633
0.830 0.250 0.344
0.902 0.750 0.233
0.941 0.250 0.062
0.959 0.750 0.075
0.984 0.750 0.520
```

Calculated values
The formation energy comes out at -2452 meV/atom. As for the total energy: -377.5 eV per cell. For the total energy after the MP2020 corrections, the calculation gives -6.704 eV per atom.


Ba2YBr7: optimized geometry, PBE-GGA.

Geometry as POSCAR:
```
Ba2YBr7
1.0
13.669 0.000 0.000
0.000 8.209 0.000
0.000 0.000 15.297
Ba Y Br
8 4 28
Direct
0.241 0.250 0.029
0.247 0.750 0.230
0.253 0.250 0.730
0.259 0.750 0.529
0.741 0.250 0.471
0.747 0.750 0.270
0.753 0.250 0.770
0.759 0.750 0.971
0.061 0.750 0.787
0.439 0.250 0.287
0.561 0.750 0.713
0.939 0.250 0.213
0.088 0.029 0.152
0.088 0.471 0.152
0.102 0.750 0.383
0.105 0.534 0.647
0.105 0.966 0.647
0.183 0.531 0.877
0.183 0.969 0.877
0.317 0.031 0.377
0.317 0.469 0.377
0.395 0.034 0.147
0.395 0.466 0.147
0.398 0.250 0.883
0.412 0.529 0.652
0.412 0.971 0.652
0.588 0.029 0.348
0.588 0.471 0.348
0.602 0.750 0.117
0.605 0.534 0.853
0.605 0.966 0.853
0.683 0.531 0.623
0.683 0.969 0.623
0.817 0.031 0.123
0.817 0.469 0.123
0.895 0.034 0.353
0.895 0.466 0.353
0.898 0.250 0.617
0.912 0.529 0.848
0.912 0.971 0.848
```

Calculated values
The formation energy comes out at -2377 meV/atom. As for the total energy: -167.2 eV per cell. For the total energy after the MP2020 corrections, the calculation gives -4.553 eV per atom.


LiNdC4O10: optimized geometry, PBE-GGA.

Geometry as POSCAR:
```
LiNdC4O10
1.0
12.699 0.000 0.000
0.000 7.579 0.000
-2.436 0.000 9.301
Li Nd C O
4 4 16 40
Direct
0.200 0.192 0.089
0.200 0.808 0.589
0.800 0.192 0.411
0.800 0.808 0.911
0.245 0.277 0.713
0.245 0.723 0.213
0.755 0.277 0.787
0.755 0.723 0.287
0.021 0.277 0.834
0.021 0.723 0.334
0.214 0.128 0.381
0.214 0.872 0.881
0.222 0.331 0.369
0.222 0.669 0.869
0.500 0.170 0.750
0.500 0.376 0.750
0.500 0.624 0.250
0.500 0.830 0.250
0.778 0.331 0.131
0.778 0.669 0.631
0.786 0.128 0.119
0.786 0.872 0.619
0.979 0.277 0.666
0.979 0.723 0.166
0.048 0.278 0.593
0.048 0.722 0.093
0.124 0.271 0.884
0.124 0.729 0.384
0.204 0.040 0.266
0.204 0.960 0.766
0.206 0.395 0.243
0.206 0.605 0.743
0.222 0.066 0.506
0.222 0.934 0.006
0.246 0.416 0.485
0.246 0.584 0.985
0.378 0.246 0.024
0.378 0.754 0.524
0.411 0.095 0.749
0.411 0.905 0.249
0.414 0.451 0.762
0.414 0.549 0.262
0.477 0.233 0.076
0.477 0.767 0.576
0.523 0.233 0.424
0.523 0.767 0.924
0.586 0.451 0.738
0.586 0.549 0.238
0.589 0.095 0.751
0.589 0.905 0.251
0.622 0.246 0.476
0.622 0.754 0.976
0.754 0.416 0.015
0.754 0.584 0.515
0.778 0.066 0.994
0.778 0.934 0.494
0.794 0.395 0.257
0.794 0.605 0.757
0.796 0.040 0.234
0.796 0.960 0.734
0.876 0.271 0.616
0.876 0.729 0.116
0.952 0.278 0.907
0.952 0.722 0.407
```

Calculated values
The formation energy comes out at -1615 meV/atom. As for the total energy: -469.2 eV per cell. For the total energy after the MP2020 corrections, the calculation gives -7.432 eV per atom.


IClO: optimized geometry, PBE-GGA.

Geometry as POSCAR:
```
IClO
1.0
7.940 4.584 2.266
-7.940 4.584 2.266
0.000 -9.168 2.266
I Cl O
6 6 6
Direct
0.247 0.724 0.584
0.276 0.416 0.753
0.416 0.753 0.276
0.584 0.247 0.724
0.724 0.584 0.247
0.753 0.276 0.416
0.080 0.126 0.375
0.126 0.375 0.080
0.375 0.080 0.126
0.625 0.920 0.874
0.874 0.625 0.920
0.920 0.874 0.625
0.134 0.514 0.688
0.312 0.866 0.486
0.486 0.312 0.866
0.514 0.688 0.134
0.688 0.134 0.514
0.866 0.486 0.312
```

Calculated values
The formation energy comes out at -388 meV/atom. As for the total energy: -52.8 eV per cell. For the total energy after the MP2020 corrections, the calculation gives -3.162 eV per atom.


Hf4Co4Si7: optimized geometry, PBE-GGA.

Geometry as POSCAR:
```
Hf4Co4Si7
1.0
-6.431 6.431 2.523
6.431 -6.431 2.523
6.431 6.431 -2.523
Hf Co Si
8 8 14
Direct
0.000 0.196 0.196
0.000 0.804 0.804
0.196 0.000 0.196
0.363 0.363 0.725
0.363 0.637 0.000
0.637 0.363 0.000
0.637 0.637 0.275
0.804 0.000 0.804
0.102 0.602 0.204
0.102 0.898 0.500
0.398 0.602 0.500
0.398 0.898 0.796
0.602 0.102 0.204
0.602 0.398 0.500
0.898 0.102 0.500
0.898 0.398 0.796
0.000 0.408 0.408
0.000 0.592 0.592
0.199 0.500 0.699
0.210 0.210 0.421
0.210 0.790 0.000
0.249 0.249 0.000
0.408 0.000 0.408
0.500 0.199 0.699
0.500 0.801 0.301
0.592 0.000 0.592
0.751 0.751 0.000
0.790 0.210 0.000
0.790 0.790 0.579
0.801 0.500 0.301
```

Calculated values
The formation energy comes out at -757 meV/atom. As for the total energy: -236.2 eV per cell. For the total energy after the MP2020 corrections, the calculation gives -7.839 eV per atom.